# 1
# Hg9P4O16 | the Materials Project database | PBE | optimized geometry
# - ΔE_f: -1.630 eV/atom
# - Total energy: -4.822 eV/atom
# - M_tot: 0.00 μB per formula unit
data_Hg9P4O16
_symmetry_space_group_name_H-M 'R 3 c'
_symmetry_Int_Tables_number 161
_symmetry_space_group_name_Hall 'R 3 -2"c'
_cell_length_a 16.8752
_cell_length_b 16.8752
_cell_length_c 10.9053
_cell_angle_alpha 90.00
_cell_angle_beta 90.00
_cell_angle_gamma 120.00
loop_
_atom_site_label
_atom_site_type_symbol
_atom_site_fract_x
_atom_site_fract_y
_atom_site_fract_z
Hg1 Hg 0.0580 0.1675 0.0000
Hg2 Hg 0.1428 0.3858 0.6912
Hg3 Hg 0.1747 0.4602 0.4612
P1 P 0.0000 0.0000 0.2091
P2 P 0.0290 0.2629 0.2981
O1 O 0.0000 0.0000 0.3488
O2 O 0.0164 0.2070 0.4166
O3 O 0.0569 0.3637 0.3288
O4 O 0.0712 0.5065 0.8757
O5 O 0.0904 0.0080 0.6530
O6 O 0.1194 0.3850 0.9009



# 2
# Tl2CdGeTe4 | the Materials Project database | PBE | optimized geometry
# - ΔE_f: -0.479 eV/atom
# - Total energy: -3.123 eV/atom
# - M_tot: 0.00 μB per formula unit
# - Piezoelectric modulus e_max: 0.57 C/m²
data_Tl2CdGeTe4
_symmetry_space_group_name_H-M 'I -4 2 m'
_symmetry_Int_Tables_number 121
_symmetry_space_group_name_Hall 'I -4 2'
_cell_length_a 8.617
_cell_length_b 8.617
_cell_length_c 7.186
_cell_angle_alpha 90.00
_cell_angle_beta 90.00
_cell_angle_gamma 90.00
loop_
_atom_site_label
_atom_site_type_symbol
_atom_site_fract_x
_atom_site_fract_y
_atom_site_fract_z
Tl1 Tl 0.000 0.500 0.000
Cd1 Cd 0.000 0.000 0.000
Ge1 Ge 0.000 0.000 0.500
Te1 Te 0.173 0.173 0.724



# 3
# TlGaSe2 | the Materials Project database | PBE | optimized geometry
# - ΔE_f: -0.813 eV/atom
# - Energy above the lowest structure with this stoichiometry: 4 meV/atom
# - Total energy: -3.672 eV/atom
# - M_tot: 0.00 μB per formula unit
data_TlGaSe2
_symmetry_space_group_name_H-M 'C 1 c 1'
_symmetry_Int_Tables_number 9
_cell_length_a 10.966
_cell_length_b 10.965
_cell_length_c 15.898
_cell_angle_alpha 90.00
_cell_angle_beta 100.10
_cell_angle_gamma 90.00
loop_
_symmetry_equiv_pos_as_xyz
'x,y,z'
'x,-y,z+1/2'
'x+1/2,y+1/2,z'
'x+1/2,-y+1/2,z+1/2'
loop_
_atom_site_label
_atom_site_type_symbol
_atom_site_fract_x
_atom_site_fract_y
_atom_site_fract_z
Tl1 Tl 0.000 0.060 0.000
Tl2 Tl 0.067 0.437 0.767
Tl3 Tl 0.250 0.187 0.493
Tl4 Tl 0.323 0.190 0.777
Ga1 Ga 0.136 0.436 0.044
Ga2 Ga 0.179 0.186 0.220
Ga3 Ga 0.383 0.190 0.045
Ga4 Ga 0.429 0.437 0.220
Se1 Se 0.022 0.310 0.130
Se2 Se 0.043 0.186 0.632
Se3 Se 0.074 0.066 0.315
Se4 Se 0.236 0.313 0.948
Se5 Se 0.280 0.051 0.131
Se6 Se 0.283 0.428 0.631
Se7 Se 0.328 0.310 0.314
Se8 Se 0.483 0.061 0.952



# 4
# CeGaO3 | the Materials Project database | PBE | optimized geometry
# - ΔE_f: -2.892 eV/atom
# - Total energy: -7.240 eV/atom
# - M_tot: 1.00 μB per formula unit
data_CeGaO3
_symmetry_space_group_name_H-M 'P m -3 m'
_symmetry_Int_Tables_number 221
_symmetry_space_group_name_Hall '-P 4 2 3'
_cell_length_a 3.894
_cell_length_b 3.894
_cell_length_c 3.894
_cell_angle_alpha 90.00
_cell_angle_beta 90.00
_cell_angle_gamma 90.00
loop_
_atom_site_label
_atom_site_type_symbol
_atom_site_fract_x
_atom_site_fract_y
_atom_site_fract_z
Ce1 Ce 0.000 0.000 0.000
Ga1 Ga 0.500 0.500 0.500
O1 O 0.000 0.500 0.500



# 5
# Li5AlO4 | the Materials Project database | PBE | optimized geometry
# - ΔE_f: -2.493 eV/atom
# - Energy above the lowest structure with this stoichiometry: 3 meV/atom
# - Total energy: -5.526 eV/atom
# - M_tot: 0.00 μB per formula unit
data_Li5AlO4
_symmetry_space_group_name_H-M 'P m m n'
_symmetry_Int_Tables_number 59
_cell_length_a 6.366
_cell_length_b 6.483
_cell_length_c 4.670
_cell_angle_alpha 90.00
_cell_angle_beta 90.00
_cell_angle_gamma 90.00
loop_
_symmetry_equiv_pos_as_xyz
'x,y,z'
'-x,-y,-z'
'-x+1/2,-y+1/2,z'
'x+1/2,y+1/2,-z'
'x+1/2,-y,-z'
'-x+1/2,y,z'
'-x,y+1/2,-z'
'x,-y+1/2,z'
loop_
_atom_site_label
_atom_site_type_symbol
_atom_site_fract_x
_atom_site_fract_y
_atom_site_fract_z
Li1 Li 0.011 0.052 0.245
Li2 Li 0.250 0.750 0.296
Al1 Al 0.250 0.250 0.724
O1 O 0.014 0.250 0.929
O2 O 0.250 0.018 0.517



# 6
# SmTiFe5Co6 | the Materials Project database | PBE | optimized geometry
# - ΔE_f: -0.108 eV/atom
# - Total energy: -7.617 eV/atom
# - M_tot: 18.54 μB per formula unit
data_SmTiFe5Co6
_symmetry_space_group_name_H-M 'I m m 2'
_symmetry_Int_Tables_number 44
_cell_length_a 4.706
_cell_length_b 8.537
_cell_length_c 8.443
_cell_angle_alpha 90.00
_cell_angle_beta 90.00
_cell_angle_gamma 90.00
loop_
_symmetry_equiv_pos_as_xyz
'x,y,z'
'-x,-y,z'
'-x,y,z'
'x,-y,z'
'x+1/2,y+1/2,z+1/2'
'-x+1/2,-y+1/2,z+1/2'
'-x+1/2,y+1/2,z+1/2'
'x+1/2,-y+1/2,z+1/2'
loop_
_atom_site_label
_atom_site_type_symbol
_atom_site_fract_x
_atom_site_fract_y
_atom_site_fract_z
Sm1 Sm 0.000 0.000 0.000
Ti1 Ti 0.000 0.000 0.378
Fe1 Fe 0.000 0.500 0.270
Fe2 Fe 0.249 0.250 0.750
Co1 Co 0.000 0.000 0.652
Co2 Co 0.000 0.275 0.500
Co3 Co 0.000 0.359 0.003
Co4 Co 0.000 0.500 0.729